Entry 1:
Crystalline ZnBi38O60 at its relaxed geometry. Source: the Materials Project, functional PBE.

Distance to the lowest polymorph of the same formula: 0 meV/atom
Formation enthalpy at 0 K: -1.599 eV per atom

a = 14.703 Å, b = 14.703 Å, c = 8.999 Å
α = 90.00°, β = 90.00°, γ = 120.00°
Element x y z (fractional)
Zn 0.000 0.000 0.000
Bi 0.009 0.855 0.326
Bi 0.039 0.779 0.904
Bi 0.066 0.631 0.224
Bi 0.111 0.381 0.425
Bi 0.145 0.154 0.326
Bi 0.166 0.018 0.679
Bi 0.170 0.487 0.015
Bi 0.177 0.663 0.685
Bi 0.221 0.259 0.904
Bi 0.265 0.050 0.083
Bi 0.271 0.889 0.425
Bi 0.317 0.830 0.015
Bi 0.333 0.667 0.338
Bi 0.337 0.514 0.685
Bi 0.369 0.435 0.224
Bi 0.390 0.295 0.562
Bi 0.444 0.052 0.746
Bi 0.486 0.823 0.685
Bi 0.501 0.152 0.340
Bi 0.508 0.323 0.015
Bi 0.513 0.683 0.015
Bi 0.565 0.934 0.224
Bi 0.609 0.556 0.746
Bi 0.619 0.729 0.425
Bi 0.651 0.499 0.340
Bi 0.667 0.333 0.663
Bi 0.677 0.185 0.015
Bi 0.705 0.095 0.562
Bi 0.741 0.961 0.904
Bi 0.785 0.735 0.083
Bi 0.815 0.492 0.015
Bi 0.846 0.991 0.326
Bi 0.848 0.349 0.340
Bi 0.853 0.834 0.679
Bi 0.905 0.610 0.562
Bi 0.948 0.391 0.746
Bi 0.950 0.215 0.083
Bi 0.982 0.147 0.679
O 0.000 0.000 0.375
O 0.000 0.000 0.772
O 0.005 0.380 0.265
O 0.042 0.701 0.414
O 0.046 0.211 0.401
O 0.049 0.331 0.929
O 0.075 0.924 0.076
O 0.076 0.151 0.076
O 0.121 0.504 0.742
O 0.164 0.954 0.401
O 0.177 0.710 0.919
O 0.181 0.591 0.409
O 0.199 0.160 0.575
O 0.209 0.419 0.211
O 0.210 0.791 0.211
O 0.250 0.125 0.873
O 0.282 0.951 0.929
O 0.290 0.467 0.919
O 0.299 0.341 0.414
O 0.323 0.291 0.087
O 0.329 0.040 0.593
O 0.333 0.667 0.110
O 0.333 0.667 0.705
O 0.366 0.365 0.751
O 0.375 0.995 0.265
O 0.383 0.879 0.742
O 0.409 0.590 0.409
O 0.410 0.819 0.409
O 0.449 0.167 0.082
O 0.496 0.617 0.742
O 0.509 0.378 0.246
O 0.516 0.257 0.742
O 0.533 0.823 0.919
O 0.542 0.457 0.543
O 0.543 0.085 0.543
O 0.581 0.790 0.211
O 0.620 0.625 0.265
O 0.622 0.131 0.246
O 0.635 0.002 0.751
O 0.659 0.958 0.414
O 0.667 0.333 0.040
O 0.667 0.333 0.436
O 0.669 0.718 0.929
O 0.709 0.032 0.087
O 0.710 0.671 0.593
O 0.718 0.551 0.082
O 0.741 0.484 0.742
O 0.743 0.259 0.742
O 0.789 0.836 0.401
O 0.833 0.282 0.082
O 0.840 0.039 0.575
O 0.849 0.925 0.076
O 0.869 0.491 0.246
O 0.875 0.125 0.873
O 0.875 0.750 0.873
O 0.915 0.458 0.543
O 0.960 0.290 0.593
O 0.961 0.801 0.575
O 0.968 0.677 0.087
O 0.998 0.634 0.751

***

Entry 2:
Crystalline ZnBi2O4 at its relaxed geometry. Source: the Materials Project, functional PBE.

Distance to the lowest polymorph of the same formula: 126 meV/atom
Formation enthalpy at 0 K: -1.490 eV per atom

a = 6.826 Å, b = 6.826 Å, c = 6.826 Å
α = 60.00°, β = 60.00°, γ = 60.00°
Element x y z (fractional)
Zn 0.125 0.125 0.125
Zn 0.875 0.875 0.875
Bi 0.000 0.500 0.500
Bi 0.500 0.000 0.500
Bi 0.500 0.500 0.000
Bi 0.500 0.500 0.500
O 0.248 0.751 0.751
O 0.249 0.249 0.249
O 0.249 0.249 0.752
O 0.249 0.752 0.249
O 0.751 0.248 0.751
O 0.751 0.751 0.248
O 0.751 0.751 0.751
O 0.752 0.249 0.249

***

Entry 3:
Crystalline ZnBiO3 at its relaxed geometry. Source: the Materials Project, functional PBE.

Formation enthalpy at 0 K: -1.512 eV per atom

a = 5.652 Å, b = 5.590 Å, c = 10.019 Å
α = 90.00°, β = 122.85°, γ = 90.00°
Element x y z (fractional)
Zn 0.226 0.020 0.248
Zn 0.226 0.480 0.748
Zn 0.774 0.520 0.252
Zn 0.774 0.980 0.752
Bi 0.000 0.000 0.500
Bi 0.000 0.500 0.000
Bi 0.500 0.000 0.000
Bi 0.500 0.500 0.500
O 0.129 0.128 0.766
O 0.129 0.372 0.266
O 0.243 0.645 0.575
O 0.243 0.855 0.075
O 0.446 0.169 0.585
O 0.446 0.331 0.085
O 0.554 0.669 0.915
O 0.554 0.831 0.415
O 0.757 0.145 0.925
O 0.757 0.355 0.425
O 0.871 0.628 0.734
O 0.871 0.872 0.234

***

Entry 4:
Crystalline ZnBi50O76 at its relaxed geometry. Source: the Materials Project, functional PBE.

Formation enthalpy at 0 K: -1.605 eV per atom

a = 8.954 Å, b = 9.037 Å, c = 29.542 Å
α = 90.05°, β = 90.08°, γ = 109.32°
Element x y z (fractional)
Zn 0.000 0.000 0.000
Bi 0.007 0.243 0.801
Bi 0.014 0.244 0.301
Bi 0.083 0.477 0.161
Bi 0.088 0.485 0.661
Bi 0.139 0.382 0.040
Bi 0.142 0.378 0.542
Bi 0.175 0.756 0.470
Bi 0.184 0.782 0.291
Bi 0.187 0.099 0.701
Bi 0.187 0.779 0.789
Bi 0.189 0.095 0.201
Bi 0.191 0.756 0.968
Bi 0.260 0.017 0.575
Bi 0.280 0.015 0.078
Bi 0.336 0.220 0.457
Bi 0.340 0.556 0.380
Bi 0.344 0.549 0.876
Bi 0.350 0.223 0.957
Bi 0.398 0.498 0.749
Bi 0.399 0.500 0.252
Bi 0.411 0.183 0.830
Bi 0.414 0.187 0.333
Bi 0.445 0.846 0.176
Bi 0.447 0.861 0.672
Bi 0.488 0.417 0.132
Bi 0.492 0.413 0.630
Bi 0.501 0.744 0.551
Bi 0.506 0.740 0.050
Bi 0.584 0.969 0.414
Bi 0.588 0.975 0.912
Bi 0.646 0.898 0.788
Bi 0.654 0.901 0.291
Bi 0.683 0.268 0.538
Bi 0.690 0.276 0.040
Bi 0.696 0.267 0.218
Bi 0.702 0.606 0.953
Bi 0.704 0.600 0.453
Bi 0.707 0.264 0.715
Bi 0.781 0.519 0.825
Bi 0.788 0.518 0.330
Bi 0.843 0.051 0.124
Bi 0.845 0.713 0.708
Bi 0.846 0.710 0.211
Bi 0.856 0.050 0.618
Bi 0.906 0.688 0.078
Bi 0.910 0.677 0.574
Bi 0.939 0.340 0.926
Bi 0.943 0.325 0.427
Bi 0.986 0.923 0.884
Bi 0.992 0.934 0.387
O 0.004 0.950 0.655
O 0.006 0.954 0.153
O 0.035 0.107 0.942
O 0.042 0.120 0.056
O 0.066 0.133 0.569
O 0.066 0.140 0.432
O 0.111 0.798 0.723
O 0.111 0.800 0.224
O 0.175 0.485 0.437
O 0.179 0.481 0.935
O 0.196 0.009 0.811
O 0.200 0.015 0.309
O 0.234 0.675 0.532
O 0.238 0.674 0.031
O 0.246 0.313 0.843
O 0.246 0.314 0.158
O 0.249 0.320 0.339
O 0.253 0.323 0.661
O 0.292 0.997 0.000
O 0.299 0.998 0.500
O 0.366 0.074 0.404
O 0.371 0.056 0.161
O 0.371 0.067 0.662
O 0.371 0.073 0.904
O 0.382 0.566 0.098
O 0.383 0.563 0.598
O 0.424 0.248 0.567
O 0.428 0.757 0.438
O 0.428 0.867 0.751
O 0.429 0.249 0.068
O 0.431 0.767 0.940
O 0.434 0.866 0.251
O 0.436 0.279 0.755
O 0.442 0.282 0.252
O 0.484 0.927 0.592
O 0.490 0.442 0.406
O 0.491 0.935 0.087
O 0.500 0.448 0.907
O 0.503 0.924 0.844
O 0.505 0.926 0.345
O 0.544 0.600 0.195
O 0.549 0.615 0.804
O 0.553 0.596 0.695
O 0.557 0.620 0.304
O 0.609 0.288 0.973
O 0.611 0.297 0.472
O 0.681 0.001 0.686
O 0.683 0.986 0.185
O 0.690 0.497 0.560
O 0.694 0.505 0.059
O 0.736 0.173 0.280
O 0.738 0.173 0.780
O 0.738 0.809 0.095
O 0.740 0.809 0.907
O 0.748 0.821 0.409
O 0.750 0.813 0.590
O 0.826 0.496 0.250
O 0.827 0.502 0.752
O 0.866 0.557 0.408
O 0.867 0.563 0.656
O 0.870 0.572 0.155
O 0.876 0.561 0.913
O 0.880 0.068 0.849
O 0.881 0.068 0.347
O 0.924 0.773 0.003
O 0.926 0.350 0.502
O 0.927 0.716 0.500
O 0.928 0.374 0.001
O 0.929 0.754 0.818
O 0.932 0.751 0.315
O 0.934 0.266 0.189
O 0.948 0.277 0.694
O 0.988 0.432 0.840
O 0.996 0.419 0.094
O 0.996 0.420 0.594
O 0.996 0.435 0.338

***

Entry 5:
Crystalline ZnBi2O5 at its relaxed geometry. Source: the Materials Project, functional PBE.

Distance to the lowest polymorph of the same formula: 79 meV/atom
Formation enthalpy at 0 K: -1.435 eV per atom

a = 5.491 Å, b = 11.807 Å, c = 8.919 Å
α = 90.00°, β = 111.82°, γ = 90.00°
Element x y z (fractional)
Zn 0.038 0.089 0.149
Zn 0.038 0.411 0.649
Zn 0.962 0.589 0.351
Zn 0.962 0.911 0.851
Bi 0.348 0.615 0.055
Bi 0.348 0.885 0.555
Bi 0.437 0.105 0.851
Bi 0.437 0.395 0.351
Bi 0.563 0.605 0.649
Bi 0.563 0.895 0.149
Bi 0.652 0.115 0.445
Bi 0.652 0.385 0.945
O 0.145 0.538 0.184
O 0.145 0.962 0.684
O 0.219 0.718 0.480
O 0.219 0.782 0.980
O 0.248 0.019 0.010
O 0.248 0.481 0.510
O 0.312 0.193 0.293
O 0.312 0.307 0.793
O 0.385 0.546 0.846
O 0.385 0.954 0.346
O 0.615 0.046 0.654
O 0.615 0.454 0.154
O 0.688 0.693 0.207
O 0.688 0.807 0.707
O 0.752 0.519 0.490
O 0.752 0.981 0.990
O 0.781 0.218 0.020
O 0.781 0.282 0.520
O 0.855 0.038 0.316
O 0.855 0.462 0.816

***

Entry 6:
Crystalline ZnBi2O4 at its relaxed geometry. Source: the Materials Project, functional PBE.

Distance to the lowest polymorph of the same formula: 91 meV/atom
Formation enthalpy at 0 K: -1.525 eV per atom

a = 6.744 Å, b = 6.744 Å, c = 6.744 Å
α = 119.75°, β = 117.38°, γ = 92.52°
Element x y z (fractional)
Zn 0.500 0.000 0.000
Zn 0.500 0.500 0.500
Bi 0.000 0.000 0.000
Bi 0.124 0.374 0.750
Bi 0.500 0.000 0.500
Bi 0.876 0.626 0.250
O 0.267 0.255 0.488
O 0.267 0.779 0.012
O 0.288 0.748 0.540
O 0.292 0.252 0.040
O 0.708 0.748 0.960
O 0.712 0.252 0.460
O 0.733 0.221 0.988
O 0.733 0.745 0.512

***

Entry 7:
Crystalline ZnBi2O4 at its relaxed geometry. Source: the Materials Project, functional PBE.

Distance to the lowest polymorph of the same formula: 73 meV/atom
Formation enthalpy at 0 K: -1.543 eV per atom

a = 6.765 Å, b = 6.788 Å, c = 16.533 Å
α = 87.53°, β = 87.63°, γ = 62.73°
Element x y z (fractional)
Zn 0.000 0.000 0.000
Zn 0.010 0.007 0.378
Zn 0.162 0.163 0.840
Zn 0.306 0.310 0.675
Zn 0.484 0.481 0.533
Zn 0.812 0.812 0.146
Bi 0.005 0.494 0.502
Bi 0.163 0.663 0.837
Bi 0.300 0.295 0.300
Bi 0.306 0.819 0.170
Bi 0.331 0.331 0.054
Bi 0.497 0.004 0.501
Bi 0.649 0.647 0.953
Bi 0.662 0.166 0.836
Bi 0.670 0.666 0.335
Bi 0.680 0.682 0.709
Bi 0.820 0.305 0.171
Bi 0.989 0.986 0.622
O 0.019 0.019 0.255
O 0.031 0.449 0.759
O 0.112 0.717 0.082
O 0.145 0.139 0.085
O 0.179 0.178 0.588
O 0.190 0.610 0.599
O 0.273 0.870 0.916
O 0.330 0.877 0.414
O 0.332 0.328 0.922
O 0.361 0.357 0.441
O 0.441 0.050 0.762
O 0.476 0.469 0.251
O 0.507 0.508 0.760
O 0.537 0.963 0.235
O 0.614 0.187 0.599
O 0.643 0.637 0.576
O 0.660 0.662 0.084
O 0.711 0.116 0.082
O 0.832 0.834 0.917
O 0.833 0.832 0.410
O 0.878 0.271 0.917
O 0.881 0.326 0.414
O 0.969 0.532 0.236
O 0.990 0.986 0.755

***

Entry 8:
Crystalline ZnBi2O4 at its relaxed geometry. Source: the Materials Project, functional PBE.

Distance to the lowest polymorph of the same formula: 107 meV/atom
Formation enthalpy at 0 K: -1.509 eV per atom

a = 6.739 Å, b = 6.739 Å, c = 6.739 Å
α = 62.12°, β = 62.12°, γ = 62.12°
Element x y z (fractional)
Zn 0.000 0.000 0.000
Zn 0.378 0.378 0.378
Bi 0.375 0.375 0.884
Bi 0.375 0.884 0.375
Bi 0.759 0.759 0.759
Bi 0.884 0.375 0.375
O 0.126 0.126 0.126
O 0.132 0.132 0.624
O 0.132 0.624 0.132
O 0.163 0.602 0.602
O 0.602 0.163 0.602
O 0.602 0.602 0.163
O 0.624 0.132 0.132
O 0.624 0.624 0.624

***

Entry 9:
Crystalline ZnBi4O8 at its relaxed geometry. Source: the Materials Project, functional PBE.

Distance to the lowest polymorph of the same formula: 157 meV/atom
Formation enthalpy at 0 K: -1.295 eV per atom

a = 6.342 Å, b = 6.342 Å, c = 6.342 Å
α = 68.73°, β = 68.73°, γ = 68.73°
Element x y z (fractional)
Zn 0.000 0.000 0.000
Bi 0.000 0.000 0.500
Bi 0.000 0.500 0.000
Bi 0.500 0.000 0.000
Bi 0.500 0.500 0.500
O 0.224 0.761 0.761
O 0.238 0.238 0.238
O 0.239 0.239 0.776
O 0.239 0.776 0.239
O 0.761 0.224 0.761
O 0.761 0.761 0.224
O 0.762 0.762 0.762
O 0.776 0.239 0.239